[1]
Here is a relaxed structure of ZnH2SeO4 from Materials Project. Energies are from PBE-GGA. Values from VASP.

Calculated values
As for the raw total energy: -4.97 eV/atom. The total energy after the MP2020 corrections comes out at -170.10 eV/cell.

Quantum ESPRESSO input file:
```
&SYSTEM
  ibrav = 0, nat = 32, ntyp = 4
/
ATOMIC_SPECIES
Zn 65.41 Zn.upf
H 1.01 H.upf
Se 78.96 Se.upf
O 16.00 O.upf
ATOMIC_POSITIONS angstrom
Zn -0.826 3.191 2.150
Zn -3.100 3.712 5.034
Zn 3.410 10.094 0.734
Zn 1.136 10.615 3.617
H -2.983 8.537 5.556
H -0.709 12.172 2.672
H 1.208 8.726 1.319
H -1.067 11.984 4.203
H 1.377 1.823 1.565
H -0.897 5.080 4.449
H 1.019 1.634 3.095
H 3.293 5.269 0.211
Se -0.919 8.382 3.579
Se 1.355 12.327 0.695
Se -1.045 1.479 5.072
Se 1.229 5.424 2.189
O -2.566 8.791 3.642
O -0.292 11.918 0.758
O -1.790 2.497 3.834
O 0.485 4.406 0.951
O -0.264 9.296 2.228
O -2.538 11.414 5.112
O 0.628 1.621 2.188
O -1.646 5.282 5.072
O 1.956 8.524 0.696
O -0.318 12.185 3.579
O 2.848 2.393 0.655
O 0.574 4.511 3.539
O -0.174 9.400 4.817
O 2.100 11.310 1.933
O 0.602 1.888 5.010
O 2.876 5.015 2.126
CELL_PARAMETERS angstrom
4.859 0.000 0.000
0.000 13.806 0.000
-4.548 0.000 5.768
```

***

[2]
Here is a relaxed structure of Ca4PbN4 from Materials Project. Energies are from PBE-GGA. Values from VASP.

Calculated values
As for the raw total energy: -5.54 eV/atom. The total energy after the MP2020 corrections comes out at -102.53 eV/cell. The energy relative to the lowest polymorph listed for this composition is 0.000 eV per atom.

Quantum ESPRESSO input file:
```
&SYSTEM
  ibrav = 0, nat = 18, ntyp = 3
/
ATOMIC_SPECIES
Ca 40.08 Ca.upf
Pb 207.20 Pb.upf
N 14.01 N.upf
ATOMIC_POSITIONS angstrom
Ca 2.392 2.728 2.632
Ca 3.488 5.841 8.174
Ca 3.787 5.881 0.784
Ca 3.637 5.758 4.452
Ca 5.630 2.876 4.406
Ca 5.479 2.753 8.074
Ca 5.778 2.793 0.685
Ca 6.874 5.907 6.227
Pb 2.224 2.703 6.475
Pb 7.042 5.932 2.383
N 2.617 7.220 6.184
N 1.688 4.358 0.989
N 3.340 3.411 4.751
N 5.619 7.159 7.921
N 3.648 1.476 0.937
N 5.926 5.223 4.108
N 7.578 4.277 7.870
N 6.650 1.415 2.675
CELL_PARAMETERS angstrom
6.196 0.000 0.000
2.257 5.798 0.000
0.814 2.836 8.859
```

***

[3]
Here is a relaxed structure of PrAlGe from Materials Project. Energies are from PBE-GGA. Values from VASP.

Calculated values
As for the raw total energy: -5.07 eV/atom.

Quantum ESPRESSO input file:
```
&SYSTEM
  ibrav = 0, nat = 6, ntyp = 3
/
ATOMIC_SPECIES
Pr 140.91 Pr.upf
Al 26.98 Al.upf
Ge 72.64 Ge.upf
ATOMIC_POSITIONS angstrom
Pr 0.000 0.000 0.000
Pr 0.000 2.152 3.699
Al 2.152 0.000 2.457
Al 0.000 0.000 6.156
Ge 2.152 0.000 4.916
Ge 0.000 0.000 8.615
CELL_PARAMETERS angstrom
-2.152 2.152 7.398
2.152 -2.152 7.398
2.152 2.152 -7.398
```

***

[4]
Here is a relaxed structure of In2CuO4 from Materials Project. Energies are from PBE-GGA. Values from VASP.

Calculated values
As for the raw total energy: -5.26 eV/atom. The total energy after the MP2020 corrections comes out at -39.54 eV/cell.

Quantum ESPRESSO input file:
```
&SYSTEM
  ibrav = 0, nat = 7, ntyp = 3
/
ATOMIC_SPECIES
In 114.82 In.upf
Cu 63.55 Cu.upf
O 16.00 O.upf
ATOMIC_POSITIONS angstrom
In 0.000 0.000 1.741
In 0.000 0.000 9.607
Cu 0.000 0.000 5.674
O 1.922 0.000 0.000
O 1.922 0.000 2.837
O 0.000 1.922 0.000
O 0.000 1.922 2.837
CELL_PARAMETERS angstrom
-1.922 1.922 5.674
1.922 -1.922 5.674
1.922 1.922 -5.674
```

***

[5]
Here is a relaxed structure of NbSi2 from Materials Project. Energies are from PBE-GGA. Values from VASP.

Calculated values
As for the raw total energy: -7.53 eV/atom. The total energy after the MP2020 corrections comes out at -67.37 eV/cell.

Quantum ESPRESSO input file:
```
&SYSTEM
  ibrav = 0, nat = 9, ntyp = 2
/
ATOMIC_SPECIES
Nb 92.91 Nb.upf
Si 28.09 Si.upf
ATOMIC_POSITIONS angstrom
Nb -1.204 2.086 1.104
Nb 2.409 0.000 3.312
Nb 1.204 2.086 5.519
Si 0.000 1.329 3.312
Si -1.258 3.508 5.519
Si 1.151 0.664 1.104
Si 1.258 3.508 1.104
Si 3.667 0.664 5.519
Si 2.409 2.843 3.312
CELL_PARAMETERS angstrom
4.818 0.000 0.000
-2.409 4.172 0.000
0.000 0.000 6.623
```

***

[6]
Here is a relaxed structure of Cs4Zr3Te16 from Materials Project. Energies are from PBE-GGA. Values from VASP.

Calculated values
As for the raw total energy: -4.20 eV/atom. The total energy after the MP2020 corrections comes out at -413.34 eV/cell.

Quantum ESPRESSO input file:
```
&SYSTEM
  ibrav = 0, nat = 92, ntyp = 3
/
ATOMIC_SPECIES
Cs 132.91 Cs.upf
Zr 91.22 Zr.upf
Te 127.60 Te.upf
ATOMIC_POSITIONS angstrom
Cs 1.267 3.050 1.339
Cs -3.218 6.842 9.128
Cs 2.169 12.663 1.628
Cs -2.316 17.014 9.418
Cs 0.153 12.402 5.389
Cs -4.332 17.275 13.178
Cs -0.216 2.785 6.904
Cs -4.701 7.107 14.693
Cs 7.949 12.678 0.886
Cs 3.465 17.000 8.675
Cs 7.580 2.509 2.401
Cs 3.096 7.383 10.190
Cs 5.564 2.771 6.161
Cs 1.080 7.121 13.950
Cs 6.466 12.943 6.450
Cs 1.982 16.734 14.240
Zr -5.507 12.189 11.707
Zr -1.022 17.488 3.918
Zr -3.969 2.267 11.985
Zr 0.516 7.625 4.195
Zr -1.278 12.209 11.030
Zr 3.207 17.468 3.241
Zr 0.041 2.317 12.338
Zr 4.526 7.575 4.549
Zr 2.732 12.160 11.383
Zr 7.217 17.518 3.594
Zr 4.271 2.297 11.661
Zr 8.755 7.596 3.872
Te 6.385 0.825 10.124
Te 10.869 9.067 2.335
Te -7.621 10.718 13.244
Te -3.137 18.959 5.455
Te -5.465 14.613 10.070
Te -0.980 15.064 2.281
Te -5.921 4.496 11.400
Te -1.437 5.396 3.611
Te -1.287 0.674 3.497
Te -5.772 9.218 11.287
Te -3.981 2.893 9.057
Te 0.503 7.000 1.268
Te -3.664 11.233 9.511
Te 0.821 18.444 1.722
Te -5.971 1.073 13.789
Te -1.487 8.819 6.000
Te -2.204 13.380 8.456
Te 2.280 16.297 0.666
Te -4.492 13.460 14.212
Te -0.008 16.217 6.423
Te -1.934 1.039 10.243
Te 2.550 8.853 2.453
Te -3.127 11.212 13.226
Te 1.358 18.466 5.437
Te -3.973 3.018 14.870
Te 0.511 6.875 7.081
Te -1.996 4.533 12.491
Te 2.489 5.360 4.702
Te 3.504 0.652 3.581
Te -0.980 9.241 11.370
Te -2.098 0.937 13.896
Te 2.386 8.955 6.106
Te -1.363 14.570 12.732
Te 3.122 15.107 4.943
Te 0.127 4.677 10.636
Te 4.611 5.215 2.847
Te 0.862 10.830 9.473
Te 5.347 18.848 1.683
Te 4.228 10.544 4.208
Te -0.256 19.133 11.998
Te 0.760 14.425 10.877
Te 5.244 15.252 3.088
Te 2.737 12.910 8.498
Te 7.221 16.767 0.708
Te 1.890 1.319 10.142
Te 6.375 8.573 2.353
Te 0.698 10.932 13.125
Te 5.183 18.746 5.336
Te 3.256 3.568 9.156
Te 7.741 6.325 1.366
Te 0.968 3.488 14.912
Te 5.452 6.405 7.123
Te 4.735 10.966 9.579
Te 9.220 18.711 1.789
Te 2.427 1.340 13.857
Te 6.912 8.552 6.068
Te 2.745 12.785 14.311
Te 7.230 16.892 6.521
Te 9.020 10.567 4.292
Te 4.535 19.110 12.081
Te 4.685 14.388 11.968
Te 9.170 15.289 4.179
Te 4.229 4.721 13.298
Te 8.713 5.172 5.508
CELL_PARAMETERS angstrom
12.217 0.000 0.000
0.000 19.785 0.000
-8.969 0.000 15.579
```

***

[7]
Here is a relaxed structure of Ba2LiTbIrO6 from Materials Project. Energies are from PBE-GGA. Values from VASP.

Calculated values
As for the raw total energy: -6.61 eV/atom. The total energy after the MP2020 corrections comes out at -76.86 eV/cell. The energy relative to the lowest polymorph listed for this composition is 0.000 eV per atom.

Quantum ESPRESSO input file:
```
&SYSTEM
  ibrav = 0, nat = 11, ntyp = 5
/
ATOMIC_SPECIES
Ba 137.33 Ba.upf
Li 6.94 Li.upf
Tb 158.93 Tb.upf
Ir 192.22 Ir.upf
O 16.00 O.upf
ATOMIC_POSITIONS angstrom
Ba 0.000 0.000 0.000
Ba 0.000 0.000 7.417
Li 0.000 0.000 13.583
Tb 0.000 0.000 3.496
Ir 0.000 0.000 11.334
O -1.408 -0.813 12.700
O 0.000 -1.618 10.160
O -1.401 0.809 10.160
O 1.408 -0.813 12.700
O 0.000 1.626 12.700
O 1.401 0.809 10.160
CELL_PARAMETERS angstrom
2.945 1.700 5.388
-2.945 1.700 5.388
0.000 -3.400 5.388
```

***

[8]
Here is a relaxed structure of Na5HfIn3P6O24 from Materials Project. Energies are from PBE-GGA. Values from VASP.

Calculated values
As for the raw total energy: -6.78 eV/atom. The total energy after the MP2020 corrections comes out at -842.52 eV/cell.

Quantum ESPRESSO input file:
```
&SYSTEM
  ibrav = 0, nat = 117, ntyp = 5
/
ATOMIC_SPECIES
Na 22.99 Na.upf
Hf 178.49 Hf.upf
In 114.82 In.upf
P 30.97 P.upf
O 16.00 O.upf
ATOMIC_POSITIONS angstrom
Na 0.000 0.000 0.000
Na 10.679 2.785 17.326
Na 3.340 5.666 11.547
Na 1.720 2.776 5.933
Na 4.540 2.611 15.372
Na 6.214 5.494 20.901
Na 6.254 5.577 9.618
Na 4.945 2.859 0.017
Na 9.056 5.713 0.018
Na 7.463 2.897 11.543
Na 6.077 0.250 2.033
Na 6.217 0.256 13.505
Na 9.520 5.502 15.378
Na 7.852 2.592 3.959
Na 11.913 5.493 3.960
Hf 6.200 5.508 17.669
Hf 6.192 5.488 6.296
Hf 6.147 0.249 9.956
In 1.695 2.880 20.548
In 1.675 2.850 9.176
In 1.656 2.798 13.795
In 1.687 2.815 2.414
In 6.219 5.554 13.059
In 6.190 5.495 1.686
In 6.137 0.248 5.487
In 6.225 0.261 21.241
In 6.265 0.261 16.902
P 12.040 5.182 0.135
P 3.526 5.495 15.279
P 4.839 7.791 3.916
P 3.003 0.539 0.089
P 4.365 2.860 11.525
P 4.866 3.167 3.906
P 7.557 7.803 15.337
P 4.856 2.622 19.088
P 3.495 0.264 7.677
P 7.525 3.180 15.285
P 8.862 5.487 3.897
P 9.373 5.744 19.092
P 7.544 2.573 7.670
P 8.024 2.853 0.133
P 9.397 5.188 11.517
P 12.053 5.761 7.679
P 8.940 0.260 19.137
P 9.364 0.542 11.465
O 0.938 1.359 3.880
O 2.679 4.179 15.251
O 0.947 1.168 10.243
O 2.802 4.267 21.771
O 4.279 5.679 13.940
O 5.023 7.001 2.590
O 4.559 5.680 7.583
O 5.278 6.820 18.950
O 5.383 6.940 11.602
O 5.453 7.009 5.097
O 4.523 5.332 16.450
O 4.537 5.347 0.225
O 3.320 3.128 3.867
O 2.404 1.370 15.266
O 3.437 3.147 10.351
O 2.345 1.192 21.706
O 3.334 2.779 19.185
O 2.581 1.479 7.830
O 2.847 1.403 1.364
O 3.598 2.612 12.850
O 5.217 4.120 5.082
O 6.949 7.059 16.541
O 6.886 6.966 0.217
O 5.298 4.115 11.617
O 5.521 4.025 18.926
O 7.175 6.793 7.579
O 5.454 3.728 2.577
O 7.384 6.965 14.056
O 4.306 0.468 6.405
O 5.126 1.775 17.832
O 5.468 2.047 20.399
O 4.594 0.395 22.767
O 5.306 1.626 11.313
O 4.443 0.065 8.905
O 4.581 0.115 15.456
O 5.540 1.789 4.035
O 6.835 3.966 7.568
O 7.824 5.618 18.940
O 7.107 4.115 0.219
O 6.928 3.743 13.962
O 7.855 5.315 11.633
O 7.185 4.132 16.461
O 7.863 5.323 5.068
O 8.111 5.676 2.553
O 9.574 6.563 20.401
O 6.855 1.798 15.432
O 6.908 1.849 8.906
O 9.828 6.683 4.017
O 7.157 1.608 22.797
O 9.959 6.404 17.830
O 7.298 1.779 6.373
O 10.078 6.579 11.302
O 8.991 3.142 21.769
O 9.614 4.253 10.332
O 9.073 3.136 15.236
O 9.702 4.168 3.868
O 8.821 2.596 1.449
O 10.070 4.646 12.818
O 9.053 2.757 7.816
O 10.001 4.348 19.190
O 7.793 0.398 11.293
O 11.429 6.616 22.797
O 11.614 6.695 15.415
O 8.036 0.463 17.929
O 7.823 0.084 4.040
O 11.495 6.369 6.378
O 11.735 6.670 8.915
O 12.692 7.856 20.471
O 9.493 1.426 12.726
O 11.418 4.621 1.451
O 11.453 4.363 7.826
O 9.848 1.495 19.212
CELL_PARAMETERS angstrom
9.053 0.000 0.000
4.525 7.845 0.000
0.041 0.021 22.816
```

***

[9]
Here is a relaxed structure of BO2F3 from Materials Project. Energies are from PBE-GGA. Values from VASP.

Calculated values
As for the raw total energy: -5.55 eV/atom. The total energy after the MP2020 corrections comes out at -140.00 eV/cell.

Quantum ESPRESSO input file:
```
&SYSTEM
  ibrav = 0, nat = 24, ntyp = 3
/
ATOMIC_SPECIES
B 10.81 B.upf
O 16.00 O.upf
F 19.00 F.upf
ATOMIC_POSITIONS angstrom
B 0.673 1.354 3.543
B -0.034 2.649 7.693
B 4.907 5.357 0.608
B 4.200 6.653 4.759
O 1.366 5.590 3.255
O 0.659 6.419 7.406
O 1.698 5.725 4.436
O 2.405 6.284 0.285
O 2.467 1.722 8.016
O 3.174 2.281 3.865
O 4.213 1.587 0.895
O 3.506 2.416 5.046
F -0.539 1.435 7.520
F 0.168 2.568 3.369
F 0.695 0.814 4.762
F 1.402 3.189 0.612
F 1.112 0.652 2.504
F 0.404 3.351 6.655
F 4.468 4.655 1.647
F 3.761 7.354 5.797
F 3.470 4.818 7.689
F 4.177 7.192 3.539
F 4.704 5.438 4.932
F 5.411 6.571 0.782
CELL_PARAMETERS angstrom
6.287 0.000 0.000
0.000 8.006 0.000
-1.414 0.000 8.301
```

***

[10]
Here is a relaxed structure of Ba2DyCu4O8 from Materials Project. Energies are from PBE-GGA. Values from VASP.

Calculated values
As for the raw total energy: -5.99 eV/atom. The total energy after the MP2020 corrections comes out at -95.34 eV/cell.

Quantum ESPRESSO input file:
```
&SYSTEM
  ibrav = 0, nat = 15, ntyp = 4
/
ATOMIC_SPECIES
Ba 137.33 Ba.upf
Dy 162.50 Dy.upf
Cu 63.55 Cu.upf
O 16.00 O.upf
ATOMIC_POSITIONS angstrom
Ba 1.949 10.013 0.000
Ba 1.949 -10.013 0.000
Dy 0.000 0.000 0.000
Cu 1.949 5.844 1.943
Cu 1.949 1.683 1.943
Cu 1.949 -1.683 1.943
Cu 1.949 -5.844 1.943
O 1.949 12.316 1.943
O 1.949 7.737 1.943
O 1.949 3.994 1.943
O 1.949 1.430 0.000
O 1.949 -1.430 0.000
O 1.949 -3.994 1.943
O 1.949 -7.737 1.943
O 1.949 -12.316 1.943
CELL_PARAMETERS angstrom
1.949 -13.741 0.000
1.949 13.741 0.000
0.000 0.000 3.886
```

***

[11]
Here is a relaxed structure of KPO4 from Materials Project. Energies are from PBE-GGA. Values from VASP.

Calculated values
As for the raw total energy: -5.97 eV/atom. The total energy after the MP2020 corrections comes out at -77.19 eV/cell.

Quantum ESPRESSO input file:
```
&SYSTEM
  ibrav = 0, nat = 12, ntyp = 3
/
ATOMIC_SPECIES
K 39.10 K.upf
P 30.97 P.upf
O 16.00 O.upf
ATOMIC_POSITIONS angstrom
K 3.893 1.946 0.894
K 0.000 1.946 2.681
P 3.893 -1.946 2.681
P 0.000 5.839 0.894
O 3.893 3.217 -1.805
O 3.893 -0.676 1.805
O 1.270 1.946 -0.018
O 2.623 -1.946 3.556
O 1.270 5.839 0.018
O 2.623 1.946 3.593
O 0.000 4.569 1.769
O 0.000 0.676 5.380
CELL_PARAMETERS angstrom
-3.893 3.893 3.574
3.893 -3.893 3.574
3.893 3.893 -3.574
```

***

[12]
Here is a relaxed structure of LuTlS2 from Materials Project. Energies are from PBE-GGA. Values from VASP.

Calculated values
As for the raw total energy: -5.27 eV/atom. The total energy after the MP2020 corrections comes out at -22.07 eV/cell.

Quantum ESPRESSO input file:
```
&SYSTEM
  ibrav = 0, nat = 4, ntyp = 3
/
ATOMIC_SPECIES
Lu 174.97 Lu.upf
Tl 204.38 Tl.upf
S 32.06 S.upf
ATOMIC_POSITIONS angstrom
Lu 0.000 0.000 0.000
Tl 0.000 0.000 11.291
S 0.000 0.000 6.072
S 0.000 0.000 16.510
CELL_PARAMETERS angstrom
1.977 1.141 7.527
-1.977 1.141 7.527
0.000 -2.283 7.527
```

***

> The lowest raw total energy belongs to which entry?

NbSi2

***

> Which value of raw total energy does entry 7 give?

-6.61 eV/atom

***

> Number 2 is which compound?

Ca4PbN4